Record 1
The following is a PBE calculation of crystalline W3Br8 at its relaxed geometry, from the Materials Project database.

## Properties
Magnetic moment = 0.0917 μB per atom
Final energy = -5.15 eV per atom
ρ = 5.423 g/cm³

a b c (Å): 12.799 15.382 14.817
angles (deg): 90.00 90.00 90.00
Space group Cmce (No. 64)
Asymmetric unit:
W  0.000  0.069  0.113 [8 per cell]
W  0.103  0.072  0.951 [16 per cell]
Br  0.000  0.043  0.432 [8 per cell]
Br  0.000  0.075  0.795 [8 per cell]
Br  0.000  0.159  0.261 [8 per cell]
Br  0.000  0.210  0.014 [8 per cell]
Br  0.204  0.069  0.109 [16 per cell]
Br  0.245  0.168  0.884 [16 per cell]

Record 2
The following is a PBE calculation of crystalline NdGe at its relaxed geometry, from the Materials Project database.

## Properties
Final energy = -5.54 eV per atom
ρ = 7.079 g/cm³

a b c (Å): 4.495 11.116 4.073
angles (deg): 90.00 90.00 90.00
Space group Cmcm (No. 63)
Asymmetric unit:
Nd  0.000  0.138  0.250 [4 per cell]
Ge  0.000  0.419  0.250 [4 per cell]

Record 3
The following is a PBE calculation of crystalline NaHSeO3 at its relaxed geometry, from the Materials Project database.

## Properties
Magnetic moment = 0.0001 μB per atom
Final energy = -5.04 eV per atom
ρ = 2.980 g/cm³

a b c (Å): 22.427 5.926 10.510
angles (deg): 90.00 105.55 90.00
Space group C2/c (No. 15)
Asymmetric unit:
Na  0.125  0.245  0.330 [8 per cell]
Na  0.196  0.216  0.719 [8 per cell]
H  0.007  0.177  0.402 [8 per cell]
H  0.242  0.486  0.020 [8 per cell]
Se  0.038  0.259  0.626 [8 per cell]
Se  0.157  0.262  0.033 [8 per cell]
O  0.045  0.265  0.454 [8 per cell]
O  0.056  0.016  0.165 [8 per cell]
O  0.102  0.408  0.697 [8 per cell]
O  0.186  0.076  0.940 [8 per cell]
O  0.196  0.474  0.508 [8 per cell]
O  0.197  0.194  0.190 [8 per cell]

Record 4
The following is a PBE calculation of crystalline Al2O3 at its relaxed geometry, from the Materials Project database.

## Properties
Magnetic moment = 0.0000 μB per atom
Final energy = -7.38 eV per atom
ρ = 3.189 g/cm³

a b c (Å): 2.965 5.636 28.659
angles (deg): 92.41 92.96 90.22
Space group P1 (No. 1)
Asymmetric unit:
Al  0.000  0.000  0.000 [1 per cell]
Al  0.035  0.509  0.072 [1 per cell]
Al  0.086  0.295  0.174 [1 per cell]
Al  0.150  0.801  0.301 [1 per cell]
Al  0.199  0.584  0.402 [1 per cell]
Al  0.236  0.113  0.475 [1 per cell]
Al  0.297  0.574  0.598 [1 per cell]
Al  0.360  0.291  0.693 [1 per cell]
Al  0.431  0.728  0.862 [1 per cell]
Al  0.485  0.517  0.971 [1 per cell]
Al  0.550  0.004  0.100 [1 per cell]
Al  0.600  0.783  0.201 [1 per cell]
Al  0.636  0.306  0.274 [1 per cell]
Al  0.686  0.097  0.375 [1 per cell]
Al  0.750  0.623  0.502 [1 per cell]
Al  0.841  0.818  0.683 [1 per cell]
Al  0.888  0.470  0.781 [1 per cell]
Al  0.950  0.225  0.899 [1 per cell]
O  0.048  0.797  0.097 [1 per cell]
O  0.051  0.244  0.103 [1 per cell]
O  0.116  0.804  0.233 [1 per cell]
O  0.118  0.288  0.238 [1 per cell]
O  0.182  0.848  0.367 [1 per cell]
O  0.183  0.304  0.369 [1 per cell]
O  0.250  0.395  0.505 [1 per cell]
O  0.250  0.840  0.502 [1 per cell]
O  0.313  0.343  0.636 [1 per cell]
O  0.325  0.804  0.652 [1 per cell]
O  0.394  0.338  0.796 [1 per cell]
O  0.445  0.025  0.888 [1 per cell]
O  0.450  0.467  0.900 [1 per cell]
O  0.516  0.016  0.032 [1 per cell]
O  0.517  0.495  0.036 [1 per cell]
O  0.582  0.046  0.166 [1 per cell]
O  0.585  0.502  0.170 [1 per cell]
O  0.648  0.594  0.299 [1 per cell]
O  0.651  0.039  0.305 [1 per cell]
O  0.716  0.598  0.434 [1 per cell]
O  0.718  0.101  0.439 [1 per cell]
O  0.784  0.641  0.571 [1 per cell]
O  0.843  0.565  0.722 [1 per cell]
O  0.864  0.115  0.710 [1 per cell]
O  0.914  0.712  0.828 [1 per cell]
O  0.982  0.260  0.963 [1 per cell]
O  0.984  0.721  0.968 [1 per cell]

Record 5
The following is a PBE calculation of crystalline Cs3LiPb4 at its relaxed geometry, from the Materials Project database.

## Properties
Final energy = -2.68 eV per atom
ρ = 5.843 g/cm³

a b c (Å): 7.377 17.447 10.903
angles (deg): 90.00 90.00 90.00
Space group Cmcm (No. 63)
Asymmetric unit:
Cs  0.000  0.112  0.054 [8 per cell]
Cs  0.000  0.268  0.750 [4 per cell]
Li  0.000  0.500  0.000 [4 per cell]
Pb  0.000  0.332  0.108 [8 per cell]
Pb  0.220  0.458  0.250 [8 per cell]

Record 6
The following is a PBE calculation of crystalline Ac3Zn at its relaxed geometry, from the Materials Project database.

## Properties
Magnetic moment = 0.0041 μB per atom
Final energy = -3.32 eV per atom
ρ = 8.386 g/cm³

a b c (Å): 5.151 5.151 11.140
angles (deg): 90.00 90.00 90.00
Space group I4/mmm (No. 139)
Asymmetric unit:
Ac  0.000  0.000  0.000 [2 per cell]
Ac  0.000  0.500  0.250 [4 per cell]
Zn  0.000  0.000  0.500 [2 per cell]

Record 7
The following is a PBE calculation of crystalline Na6MgZr7P12O48 at its relaxed geometry, from the Materials Project database.

## Properties
Magnetic moment = 0.0000 μB per atom
Final energy = -7.68 eV per atom
ρ = 3.004 g/cm³

a b c (Å): 8.937 15.459 23.294
angles (deg): 90.01 90.03 90.03
Space group P1 (No. 1)
Asymmetric unit:
Na  0.000  0.000  0.000 [1 per cell]
Na  0.000  0.002  0.502 [1 per cell]
Na  0.001  0.667  0.836 [1 per cell]
Na  0.011  0.331  0.665 [1 per cell]
Na  0.011  0.667  0.330 [1 per cell]
Na  0.324  0.314  0.244 [1 per cell]
Na  0.368  0.006  0.244 [1 per cell]
Na  0.489  0.167  0.832 [1 per cell]
Na  0.495  0.828  0.161 [1 per cell]
Na  0.496  0.830  0.666 [1 per cell]
Na  0.501  0.500  0.000 [1 per cell]
Na  0.502  0.498  0.501 [1 per cell]
Na  0.511  0.167  0.331 [1 per cell]
Na  0.631  0.006  0.746 [1 per cell]
Na  0.677  0.312  0.746 [1 per cell]
Na  0.824  0.814  0.244 [1 per cell]
Na  0.868  0.506  0.244 [1 per cell]
Na  0.995  0.328  0.161 [1 per cell]
Mg  0.009  0.667  0.181 [1 per cell]
Mg  0.491  0.167  0.682 [1 per cell]
Mg  0.509  0.167  0.181 [1 per cell]
Zr  0.000  0.001  0.144 [1 per cell]
Zr  0.000  0.333  0.021 [1 per cell]
Zr  0.000  0.667  0.983 [1 per cell]
Zr  0.002  0.667  0.686 [1 per cell]
Zr  0.004  0.000  0.853 [1 per cell]
Zr  0.004  0.003  0.646 [1 per cell]
Zr  0.008  0.334  0.815 [1 per cell]
Zr  0.496  0.830  0.815 [1 per cell]
Zr  0.497  0.831  0.316 [1 per cell]
Zr  0.499  0.499  0.646 [1 per cell]
Zr  0.499  0.500  0.353 [1 per cell]
Zr  0.499  0.501  0.144 [1 per cell]
Zr  0.500  0.167  0.483 [1 per cell]
Zr  0.500  0.500  0.854 [1 per cell]
Zr  0.501  0.834  0.021 [1 per cell]
Zr  0.502  0.166  0.982 [1 per cell]
Zr  0.502  0.835  0.521 [1 per cell]
Zr  0.997  0.331  0.316 [1 per cell]
Zr  0.999  0.000  0.353 [1 per cell]
Zr  0.999  0.332  0.521 [1 per cell]
Zr  0.999  0.666  0.480 [1 per cell]
P  0.144  0.853  0.249 [1 per cell]
P  0.145  0.480  0.917 [1 per cell]
P  0.145  0.521  0.583 [1 per cell]
P  0.146  0.812  0.583 [1 per cell]
P  0.148  0.188  0.918 [1 per cell]
P  0.149  0.146  0.249 [1 per cell]
P  0.207  0.502  0.250 [1 per cell]
P  0.209  0.833  0.918 [1 per cell]
P  0.213  0.167  0.585 [1 per cell]
P  0.288  0.668  0.085 [1 per cell]
P  0.292  0.333  0.417 [1 per cell]
P  0.295  0.002  0.750 [1 per cell]
P  0.354  0.687  0.418 [1 per cell]
P  0.355  0.310  0.086 [1 per cell]
P  0.355  0.980  0.416 [1 per cell]
P  0.356  0.645  0.750 [1 per cell]
P  0.357  0.353  0.749 [1 per cell]
P  0.358  0.022  0.086 [1 per cell]
P  0.644  0.353  0.249 [1 per cell]
P  0.645  0.311  0.586 [1 per cell]
P  0.646  0.022  0.586 [1 per cell]
P  0.646  0.979  0.916 [1 per cell]
P  0.647  0.688  0.917 [1 per cell]
P  0.648  0.646  0.249 [1 per cell]
P  0.707  0.002  0.250 [1 per cell]
P  0.710  0.333  0.916 [1 per cell]
P  0.710  0.666  0.583 [1 per cell]
P  0.788  0.168  0.085 [1 per cell]
P  0.791  0.500  0.750 [1 per cell]
P  0.792  0.833  0.416 [1 per cell]
P  0.853  0.146  0.750 [1 per cell]
P  0.853  0.187  0.418 [1 per cell]
P  0.855  0.479  0.416 [1 per cell]
P  0.855  0.810  0.086 [1 per cell]
P  0.856  0.855  0.750 [1 per cell]
P  0.857  0.522  0.086 [1 per cell]
O  0.069  0.765  0.244 [1 per cell]
O  0.074  0.570  0.923 [1 per cell]
O  0.074  0.902  0.589 [1 per cell]
O  0.075  0.097  0.910 [1 per cell]
O  0.075  0.431  0.577 [1 per cell]
O  0.075  0.899  0.303 [1 per cell]
O  0.077  0.102  0.197 [1 per cell]
O  0.078  0.565  0.637 [1 per cell]
O  0.078  0.768  0.530 [1 per cell]
O  0.079  0.232  0.970 [1 per cell]
O  0.079  0.436  0.863 [1 per cell]
O  0.080  0.238  0.256 [1 per cell]
O  0.101  0.579  0.245 [1 per cell]
O  0.108  0.247  0.576 [1 per cell]
O  0.109  0.752  0.923 [1 per cell]
O  0.110  0.086  0.589 [1 per cell]
O  0.110  0.417  0.257 [1 per cell]
O  0.110  0.914  0.910 [1 per cell]
O  0.114  0.423  0.970 [1 per cell]
O  0.114  0.577  0.529 [1 per cell]
O  0.115  0.088  0.303 [1 per cell]
O  0.115  0.756  0.637 [1 per cell]
O  0.116  0.243  0.863 [1 per cell]
O  0.120  0.913  0.197 [1 per cell]
O  0.183  0.678  0.423 [1 per cell]
O  0.183  0.988  0.410 [1 per cell]
O  0.184  0.011  0.090 [1 per cell]
O  0.184  0.322  0.077 [1 per cell]
O  0.184  0.655  0.743 [1 per cell]
O  0.185  0.345  0.756 [1 per cell]
O  0.190  0.345  0.469 [1 per cell]
O  0.192  0.011  0.803 [1 per cell]
O  0.192  0.655  0.030 [1 per cell]
O  0.193  0.988  0.697 [1 per cell]
O  0.197  0.322  0.361 [1 per cell]
O  0.197  0.681  0.138 [1 per cell]
O  0.305  0.181  0.638 [1 per cell]
O  0.307  0.821  0.863 [1 per cell]
O  0.308  0.155  0.530 [1 per cell]
O  0.309  0.511  0.304 [1 per cell]
O  0.309  0.845  0.970 [1 per cell]
O  0.310  0.484  0.198 [1 per cell]
O  0.317  0.488  0.910 [1 per cell]
O  0.317  0.512  0.589 [1 per cell]
O  0.317  0.821  0.577 [1 per cell]
O  0.318  0.849  0.257 [1 per cell]
O  0.319  0.155  0.245 [1 per cell]
O  0.319  0.178  0.923 [1 per cell]
O  0.380  0.260  0.142 [1 per cell]
O  0.385  0.742  0.364 [1 per cell]
O  0.386  0.411  0.696 [1 per cell]
O  0.386  0.590  0.803 [1 per cell]
O  0.388  0.922  0.469 [1 per cell]
O  0.389  0.078  0.032 [1 per cell]
O  0.390  0.586  0.089 [1 per cell]
O  0.392  0.252  0.423 [1 per cell]
O  0.392  0.414  0.410 [1 per cell]
O  0.393  0.747  0.076 [1 per cell]
O  0.396  0.920  0.756 [1 per cell]
O  0.399  0.080  0.745 [1 per cell]
O  0.420  0.060  0.142 [1 per cell]
O  0.420  0.937  0.361 [1 per cell]
O  0.423  0.732  0.471 [1 per cell]
O  0.424  0.267  0.032 [1 per cell]
O  0.424  0.601  0.696 [1 per cell]
O  0.426  0.399  0.803 [1 per cell]
O  0.426  0.930  0.077 [1 per cell]
O  0.427  0.402  0.090 [1 per cell]
O  0.427  0.597  0.411 [1 per cell]
O  0.427  0.735  0.756 [1 per cell]
O  0.428  0.069  0.423 [1 per cell]
O  0.434  0.265  0.744 [1 per cell]
O  0.569  0.265  0.244 [1 per cell]
O  0.574  0.069  0.923 [1 per cell]
O  0.575  0.399  0.303 [1 per cell]
O  0.575  0.403  0.590 [1 per cell]
O  0.575  0.598  0.910 [1 per cell]
O  0.576  0.931  0.576 [1 per cell]
O  0.577  0.602  0.197 [1 per cell]
O  0.578  0.268  0.532 [1 per cell]
O  0.579  0.731  0.970 [1 per cell]
O  0.580  0.738  0.257 [1 per cell]
O  0.581  0.937  0.860 [1 per cell]
O  0.582  0.060  0.641 [1 per cell]
O  0.601  0.078  0.245 [1 per cell]
O  0.610  0.252  0.922 [1 per cell]
O  0.610  0.414  0.910 [1 per cell]
O  0.610  0.585  0.590 [1 per cell]
O  0.610  0.917  0.257 [1 per cell]
O  0.611  0.748  0.577 [1 per cell]
O  0.613  0.078  0.532 [1 per cell]
O  0.613  0.922  0.968 [1 per cell]
O  0.615  0.588  0.303 [1 per cell]
O  0.615  0.743  0.863 [1 per cell]
O  0.620  0.413  0.197 [1 per cell]
O  0.621  0.260  0.641 [1 per cell]
O  0.682  0.155  0.745 [1 per cell]
O  0.682  0.178  0.423 [1 per cell]
O  0.683  0.849  0.756 [1 per cell]
O  0.684  0.489  0.410 [1 per cell]
O  0.684  0.512  0.090 [1 per cell]
O  0.684  0.822  0.077 [1 per cell]
O  0.690  0.845  0.469 [1 per cell]
O  0.691  0.485  0.697 [1 per cell]
O  0.692  0.513  0.804 [1 per cell]
O  0.693  0.155  0.030 [1 per cell]
O  0.697  0.181  0.138 [1 per cell]
O  0.697  0.821  0.361 [1 per cell]
O  0.805  0.322  0.860 [1 per cell]
O  0.809  0.011  0.304 [1 per cell]
O  0.809  0.655  0.530 [1 per cell]
O  0.810  0.679  0.637 [1 per cell]
O  0.810  0.984  0.198 [1 per cell]
O  0.811  0.345  0.968 [1 per cell]
O  0.817  0.323  0.576 [1 per cell]
O  0.818  0.349  0.257 [1 per cell]
O  0.818  0.678  0.923 [1 per cell]
O  0.818  0.988  0.909 [1 per cell]
O  0.819  0.011  0.590 [1 per cell]
O  0.819  0.655  0.245 [1 per cell]
O  0.880  0.760  0.142 [1 per cell]
O  0.884  0.913  0.697 [1 per cell]
O  0.885  0.242  0.364 [1 per cell]
O  0.885  0.416  0.757 [1 per cell]
O  0.886  0.088  0.803 [1 per cell]
O  0.889  0.422  0.469 [1 per cell]
O  0.889  0.578  0.032 [1 per cell]
O  0.891  0.086  0.089 [1 per cell]
O  0.892  0.752  0.423 [1 per cell]
O  0.892  0.914  0.410 [1 per cell]
O  0.893  0.247  0.076 [1 per cell]
O  0.893  0.580  0.743 [1 per cell]
O  0.920  0.438  0.361 [1 per cell]
O  0.920  0.560  0.142 [1 per cell]
O  0.921  0.239  0.756 [1 per cell]
O  0.922  0.231  0.470 [1 per cell]
O  0.923  0.767  0.032 [1 per cell]
O  0.923  0.898  0.804 [1 per cell]
O  0.924  0.103  0.697 [1 per cell]
O  0.925  0.430  0.077 [1 per cell]
O  0.925  0.764  0.743 [1 per cell]
O  0.926  0.097  0.410 [1 per cell]
O  0.927  0.569  0.423 [1 per cell]
O  0.927  0.903  0.090 [1 per cell]

Record 8
The following is a PBE calculation of crystalline Ba2NdMgNbCu2O8 at its relaxed geometry, from the Materials Project database.

## Properties
Magnetic moment = 0.0000 μB per atom
Final energy = -6.67 eV per atom
ρ = 5.733 g/cm³

a b c (Å): 11.781 6.022 6.461
angles (deg): 90.00 90.00 90.00
Space group Amm2 (No. 38)
Asymmetric unit:
Ba  0.194  0.000  0.000 [4 per cell]
Nd  0.500  0.000  0.226 [2 per cell]
Mg  0.500  0.000  0.784 [2 per cell]
Nb  0.000  0.000  0.514 [2 per cell]
Cu  0.314  0.000  0.502 [4 per cell]
O  0.000  0.241  0.328 [4 per cell]
O  0.159  0.000  0.598 [4 per cell]
O  0.386  0.228  0.898 [8 per cell]

Let's list ΔH_f (0 K) in order: -8.95, -1.70, -9.25, -16.63, -2.02, 0.34, -229.27, -37.45 eV per formula unit.